No. 1
DFT (PBE with a Hubbard U) results for Sr3PrMn4O12 after structural relaxation.

The total energy comes out at -7.153 eV/atom. The calculation puts the corrected total energy (MP2020 scheme) at -315.97 eV for the cell shown. As for the total magnetization: 26.0 μB per cell. As for the energy above the most stable polymorph in this dataset: 0.00 eV per formula unit.

The structure belongs to space group Amm2 (No. 38); the cell edges are 7.715, 7.720 and 7.895 Å and the angles 90.00°, 90.00° and 90.00°. The inequivalent atoms are Sr at (0.000, 0.000, 0.000), Sr at (0.000, 0.000, 0.494), Sr at (0.500, 0.000, 0.498), Pr at (0.500, 0.000, 0.005), Mn at (0.250, 0.249, 0.749), O at (0.000, 0.216, 0.746), O at (0.220, 0.000, 0.249), O at (0.260, 0.245, 0.998), O at (0.293, 0.000, 0.756) and O at (0.500, 0.211, 0.242).

***

No. 2
DFT (PBE with a Hubbard U) results for Sr3PrMn4O12 after structural relaxation.

The total energy comes out at -7.144 eV/atom. The calculation puts the corrected total energy (MP2020 scheme) at -315.58 eV for the cell shown. As for the total magnetization: 26.0 μB per cell. As for the energy above the most stable polymorph in this dataset: 0.19 eV per formula unit.

The structure belongs to space group Im-3m (No. 229); the cell edges are 7.769, 7.769 and 7.769 Å and the angles 90.00°, 90.00° and 90.00°. The inequivalent atoms are Sr at (0.000, 0.000, 0.500), Pr at (0.000, 0.000, 0.000), Mn at (0.250, 0.250, 0.250) and O at (0.000, 0.245, 0.245).

***

No. 3
DFT (PBE with a Hubbard U) results for Sr2PrMn3O9 after structural relaxation.

The total energy comes out at -7.247 eV/atom. The calculation puts the corrected total energy (MP2020 scheme) at -479.59 eV for the cell shown. As for the total magnetization: 40.0 μB per cell.

The structure belongs to space group C2/c (No. 15); the cell edges are 9.640, 5.460 and 13.504 Å and the angles 90.00°, 91.42° and 90.00°. The inequivalent atoms are Sr at (0.167, 0.002, 0.417), Pr at (0.000, 0.495, 0.750), Mn at (0.000, 0.500, 0.000), Mn at (0.167, 0.000, 0.166), O at (0.000, 0.007, 0.250), O at (0.070, 0.215, 0.572), O at (0.094, 0.293, 0.100), O at (0.163, 0.500, 0.411) and O at (0.230, 0.293, 0.738).

***

No. 4
DFT (PBE with a Hubbard U) results for SrTbPrMnO6 after structural relaxation.

The total energy comes out at -7.446 eV/atom. The calculation puts the corrected total energy (MP2020 scheme) at -321.02 eV for the cell shown. As for the total magnetization: 12.0 μB per cell.

The structure belongs to space group F-43m (No. 216); the cell edges are 8.161, 8.161 and 8.161 Å and the angles 90.00°, 90.00° and 90.00°. The inequivalent atoms are Sr at (0.000, 0.000, 0.000), Tb at (0.250, 0.250, 0.750), Pr at (0.000, 0.000, 0.500), Mn at (0.250, 0.250, 0.250) and O at (0.017, 0.250, 0.250).

***

No. 5
DFT (PBE with a Hubbard U) results for SrPrZrMnO6 after structural relaxation.

The total energy comes out at -7.922 eV/atom. The calculation puts the corrected total energy (MP2020 scheme) at -340.04 eV for the cell shown. As for the total magnetization: 16.0 μB per cell.

The structure belongs to space group F-43m (No. 216); the cell edges are 8.127, 8.127 and 8.127 Å and the angles 90.00°, 90.00° and 90.00°. The inequivalent atoms are Sr at (0.000, 0.000, 0.000), Pr at (0.000, 0.000, 0.500), Zr at (0.250, 0.250, 0.250), Mn at (0.250, 0.250, 0.750) and O at (0.005, 0.250, 0.750).

***

No. 6
DFT (PBE with a Hubbard U) results for PrMn2ZnO6 after structural relaxation.

The total energy comes out at -6.962 eV/atom. The calculation puts the corrected total energy (MP2020 scheme) at -154.15 eV for the cell shown. As for the total magnetization: 14.0 μB per cell.

The structure belongs to space group Pmn2_1 (No. 31); the cell edges are 7.730, 5.439 and 5.298 Å and the angles 90.00°, 90.00° and 90.00°. The inequivalent atoms are Pr at (0.000, 0.211, 0.000), Mn at (0.250, 0.255, 0.489), Zn at (0.000, 0.712, 0.474), O at (0.000, 0.293, 0.566), O at (0.000, 0.770, 0.863), O at (0.192, 0.947, 0.295) and O at (0.198, 0.473, 0.211).

***

corrected total energy (MP2020 scheme) of number 6 (PrMn2ZnO6)?
-154.15 eV for the cell shown